[1]
Sr4B14O25 after structural relaxation. Source: the Materials Project, functional PBE.

Summary:
- formation enthalpy at 0 K (meV per atom) = -3045.9
- energy with MP2020 corrections (eV per cell) = -1419.77

Lattice parameters (Å, degrees): 7.853 16.482 14.792 90.00 90.00 90.00
Space group Cmc2_1 (No. 36)
Unique sites:
1 Sr 0.000 0.056 0.000 [4 per cell]
2 Sr 0.000 0.176 0.321 [4 per cell]
3 Sr 0.000 0.195 0.734 [4 per cell]
4 Sr 0.000 0.430 0.913 [4 per cell]
5 B 0.165 0.382 0.365 [8 per cell]
6 B 0.168 0.235 0.936 [8 per cell]
7 B 0.168 0.396 0.699 [8 per cell]
8 B 0.171 0.005 0.788 [8 per cell]
9 B 0.175 0.153 0.523 [8 per cell]
10 B 0.232 0.218 0.101 [8 per cell]
11 B 0.248 0.470 0.129 [8 per cell]
12 O 0.000 0.025 0.299 [4 per cell]
13 O 0.000 0.146 0.491 [4 per cell]
14 O 0.000 0.225 0.895 [4 per cell]
15 O 0.000 0.359 0.705 [4 per cell]
16 O 0.000 0.412 0.356 [4 per cell]
17 O 0.178 0.186 0.020 [8 per cell]
18 O 0.191 0.061 0.709 [8 per cell]
19 O 0.191 0.452 0.622 [8 per cell]
20 O 0.194 0.207 0.603 [8 per cell]
21 O 0.199 0.301 0.369 [8 per cell]
22 O 0.210 0.059 0.871 [8 per cell]
23 O 0.212 0.176 0.183 [8 per cell]
24 O 0.213 0.436 0.785 [8 per cell]
25 O 0.214 0.319 0.949 [8 per cell]
26 O 0.241 0.070 0.547 [8 per cell]



[2]
SrB6O14 after structural relaxation. Source: the Materials Project, functional PBE.

Summary:
- formation enthalpy at 0 K (meV per atom) = -1914.2
- energy with MP2020 corrections (eV per cell) = -604.95
- M_tot (μB per formula unit) = 1.12

Lattice parameters (Å, degrees): 10.117 8.076 14.615 90.00 118.13 90.00
Space group P2_1/c (No. 14)
Unique sites:
1 Sr 0.217 0.062 0.193 [4 per cell]
2 B 0.018 0.097 0.750 [4 per cell]
3 B 0.168 0.665 0.321 [4 per cell]
4 B 0.210 0.041 0.693 [4 per cell]
5 B 0.405 0.738 0.472 [4 per cell]
6 B 0.426 0.662 0.317 [4 per cell]
7 B 0.480 0.100 0.748 [4 per cell]
8 O 0.011 0.578 0.508 [4 per cell]
9 O 0.050 0.548 0.306 [4 per cell]
10 O 0.102 0.148 0.704 [4 per cell]
11 O 0.105 0.682 0.760 [4 per cell]
12 O 0.146 0.536 0.093 [4 per cell]
13 O 0.243 0.199 0.975 [4 per cell]
14 O 0.258 0.710 0.432 [4 per cell]
15 O 0.272 0.586 0.283 [4 per cell]
16 O 0.333 0.149 0.701 [4 per cell]
17 O 0.383 0.128 0.396 [4 per cell]
18 O 0.407 0.686 0.757 [4 per cell]
19 O 0.476 0.046 0.197 [4 per cell]
20 O 0.479 0.688 0.077 [4 per cell]
21 O 0.492 0.703 0.428 [4 per cell]



[3]
SrBO3 after structural relaxation. Source: the Materials Project, functional PBE.

Summary:
- formation enthalpy at 0 K (meV per atom) = -2825.0
- energy with MP2020 corrections (eV per cell) = -149.35
- M_tot (μB per formula unit) = 1.00

Lattice parameters (Å, degrees): 7.057 5.805 6.847 90.00 90.00 90.00
Space group Pnma (No. 62)
Unique sites:
1 Sr 0.166 0.250 0.152 [4 per cell]
2 B 0.087 0.250 0.714 [4 per cell]
3 O 0.035 0.250 0.520 [4 per cell]
4 O 0.112 0.043 0.806 [8 per cell]



[4]
Tb2B4O9 after structural relaxation. Source: the Materials Project, functional PBE.

Summary:
- formation enthalpy at 0 K (meV per atom) = -3276.7
- energy with MP2020 corrections (eV per cell) = -2593.36
- M_tot (μB per formula unit) = 0.01

Lattice parameters (Å, degrees): 25.395 4.436 24.961 90.00 99.91 90.00
Space group C2/c (No. 15)
Unique sites:
1 Tb 0.012 0.171 0.179 [8 per cell]
2 Tb 0.065 0.300 0.572 [8 per cell]
3 Tb 0.141 0.177 0.292 [8 per cell]
4 Tb 0.154 0.268 0.461 [8 per cell]
5 Tb 0.215 0.294 0.629 [8 per cell]
6 B 0.030 0.314 0.435 [8 per cell]
7 B 0.052 0.322 0.775 [8 per cell]
8 B 0.073 0.199 0.970 [8 per cell]
9 B 0.092 0.369 0.877 [8 per cell]
10 B 0.099 0.326 0.692 [8 per cell]
11 B 0.146 0.193 0.163 [8 per cell]
12 B 0.147 0.222 0.059 [8 per cell]
13 B 0.195 0.342 0.866 [8 per cell]
14 B 0.242 0.223 0.039 [8 per cell]
15 B 0.249 0.170 0.218 [8 per cell]
16 O 0.000 0.179 0.750 [4 per cell]
17 O 0.022 0.189 0.086 [8 per cell]
18 O 0.025 0.378 0.957 [8 per cell]
19 O 0.046 0.324 0.660 [8 per cell]
20 O 0.052 0.357 0.274 [8 per cell]
21 O 0.062 0.356 0.389 [8 per cell]
22 O 0.063 0.122 0.479 [8 per cell]
23 O 0.065 0.185 0.831 [8 per cell]
24 O 0.097 0.208 0.747 [8 per cell]
25 O 0.106 0.355 0.016 [8 per cell]
26 O 0.108 0.200 0.927 [8 per cell]
27 O 0.119 0.352 0.201 [8 per cell]
28 O 0.129 0.330 0.109 [8 per cell]
29 O 0.137 0.141 0.664 [8 per cell]
30 O 0.143 0.496 0.864 [8 per cell]
31 O 0.153 0.097 0.556 [8 per cell]
32 O 0.197 0.028 0.866 [8 per cell]
33 O 0.199 0.386 0.056 [8 per cell]
34 O 0.204 0.241 0.172 [8 per cell]
35 O 0.212 0.482 0.813 [8 per cell]
36 O 0.223 0.062 0.986 [8 per cell]
37 O 0.229 0.041 0.757 [8 per cell]
38 O 0.229 0.478 0.918 [8 per cell]



[5]
B2TeO5 after structural relaxation. Source: the Materials Project, functional PBE.

Summary:
- formation enthalpy at 0 K (meV per atom) = -2247.4
- energy with MP2020 corrections (eV per cell) = -473.77
- M_tot (μB per formula unit) = 0.00

Lattice parameters (Å, degrees): 10.277 10.161 9.719 90.00 111.83 90.00
Space group C2/c (No. 15)
Unique sites:
1 B 0.116 0.244 0.131 [8 per cell]
2 B 0.178 0.424 0.996 [8 per cell]
3 Te 0.174 0.055 0.674 [8 per cell]
4 O 0.063 0.118 0.110 [8 per cell]
5 O 0.098 0.318 0.002 [8 per cell]
6 O 0.174 0.459 0.856 [8 per cell]
7 O 0.188 0.293 0.269 [8 per cell]
8 O 0.232 0.004 0.884 [8 per cell]



[6]
BTeO3 after structural relaxation. Source: the Materials Project, functional PBE.

Summary:
- formation enthalpy at 0 K (meV per atom) = -822.2
- energy with MP2020 corrections (eV per cell) = -28.78
- M_tot (μB per formula unit) = 0.00

Lattice parameters (Å, degrees): 3.543 3.543 3.543 90.00 90.00 90.00
Space group Pm-3m (No. 221)
Unique sites:
1 B 0.000 0.000 0.000 [1 per cell]
2 Te 0.500 0.500 0.500 [1 per cell]
3 O 0.000 0.000 0.500 [3 per cell]